VASP calculation (PBE-GGA) on a relaxed Na4LuC3O9F crystal. Values from VASP.

Output
- Uncorrected energy: -6.75 eV/atom
- ΔH_f (0 K): -2.459 eV per atom
- Symmetry: Cc (9)

```
&SYSTEM
  ibrav = 0, nat = 72, ntyp = 5
/
ATOMIC_SPECIES
Na 22.99 Na.upf
Lu 174.97 Lu.upf
C 12.01 C.upf
O 16.00 O.upf
F 19.00 F.upf
CELL_PARAMETERS angstrom
1.8366 -2.5305 -8.4409
5.4750 -0.6150 7.1184
-2.3997 -13.7416 2.2529
ATOMIC_POSITIONS angstrom
Na 3.8161 -4.5209 -0.3537
Na 2.6241 -11.3876 0.8063
Na 1.6031 -9.0946 3.7547
Na 1.4872 -2.9166 -2.9986
Na 2.9896 -2.0058 2.4631
Na 0.5153 -9.5475 -1.8604
Na 3.5611 -7.9665 6.6616
Na 1.9135 -2.5948 -6.6415
Na 4.1853 -4.4518 6.2573
Na 0.0618 -12.8618 -5.1189
Na 1.2641 -5.9650 -5.9995
Na 2.8788 -11.3541 7.1629
Na 0.6778 -9.4870 -5.2911
Na 4.6319 -1.1662 5.3610
Na 1.0253 -6.1886 -2.2311
Na 1.0290 -12.4258 4.0424
Lu 2.4007 -5.3385 3.5163
Lu -0.2944 -12.9965 -1.7516
Lu 3.3225 -7.9966 0.5302
Lu 1.9816 -14.9417 1.0535
C 0.8890 -5.8056 0.7266
C -0.4069 -12.7270 1.4423
C 4.8881 -4.6357 2.6210
C 2.2923 -12.2414 -2.2223
C 3.0910 -8.6972 -2.6585
C 3.2054 -14.8761 4.0883
C 0.1998 -9.1361 1.1589
C 1.3643 -2.2839 -0.1187
C 3.7559 -11.6014 3.9035
C 3.4897 -5.5024 -3.4922
C 4.2766 -7.9382 3.2049
C 1.6658 -15.5518 -1.7026
O 2.0661 -6.1840 0.3016
O 0.8560 -13.0602 1.3843
O 1.5078 -9.1895 0.9836
O 2.6181 -2.3659 -0.5258
O 0.7444 -5.5112 1.9963
O -1.1077 -12.7253 0.3337
O 3.0685 -7.4346 2.8859
O 0.6935 -14.9241 -1.0130
O 3.7518 -4.3383 2.0161
O 1.5206 -11.7521 -1.2681
O -0.0893 -5.7154 -0.0915
O -0.9325 -12.3984 2.5604
O 2.4717 -9.1830 -3.6820
O 3.1230 -15.0793 5.3607
O 4.5775 -8.2539 4.3953
O 1.4325 -16.1487 -2.7964
O 5.0511 -8.1013 2.1816
O 2.8172 -15.5165 -1.1139
O 4.7624 -5.1813 3.8103
O 1.6889 -13.0385 -3.0758
O 2.9026 -11.0065 3.1674
O 3.0135 -4.7090 -2.6161
O 4.3826 -8.4877 -2.7835
O 4.4083 -14.7132 3.5842
O -0.2505 -8.9236 2.3511
O 0.4274 -2.3275 -1.0073
O 3.3859 -12.2094 5.0180
O 2.7031 -6.3297 -4.1594
O -0.5968 -9.3061 0.1576
O 1.0960 -2.1758 1.1392
O 2.4807 -8.3666 -1.5730
O 2.1651 -14.7719 3.3352
O 6.0234 -4.4249 2.0831
O 3.5353 -11.9740 -2.2994
O -0.4462 -11.0829 -3.5020
O 2.9266 -3.0681 4.6641
F 4.3022 -9.8615 0.2180
F 5.4977 -2.9930 -0.9271
F 4.7927 -6.6561 -0.2465
F 3.5689 -13.5395 0.7776
```